Model 1:
VASP calculation (PBE with a Hubbard U) on crystalline Li4FeO3F at its relaxed geometry.

a = 6.4134 Å, b = 7.2921 Å, c = 8.0404 Å
α = 90.00°, β = 90.00°, γ = 90.00°
Last column: nearest neighbours and their distance in Å.
Atoms (fractional coordinates):
O 0.7497 0.5314 0.2069  1 Fe 1.87, 4 Li 1.92-2.06
O 0.5101 0.2011 0.0000  1 Fe 1.87, 4 Li 1.94-1.96
O 0.7497 0.0314 0.7069  1 Fe 1.87, 4 Li 1.92-2.06
O 0.5101 0.7011 0.5000  1 Fe 1.87, 4 Li 1.94-1.96
O 0.0101 0.2989 0.5000  1 Fe 1.87, 4 Li 1.94-1.96
O 0.7497 0.0314 0.2931  1 Fe 1.87, 4 Li 1.92-2.06
O 0.2497 0.4686 0.2069  1 Fe 1.87, 4 Li 1.92-2.06
O 0.2497 0.9686 0.2931  1 Fe 1.87, 4 Li 1.92-2.06
O 0.0101 0.7989 0.0000  1 Fe 1.87, 4 Li 1.94-1.96
O 0.7497 0.5314 0.7931  1 Fe 1.87, 4 Li 1.92-2.06
O 0.2497 0.9686 0.7069  1 Fe 1.87, 4 Li 1.92-2.06
O 0.2497 0.4686 0.7931  1 Fe 1.87, 4 Li 1.92-2.06
Li 0.2373 0.2325 0.6525  3 O 1.96-2.06, 1 F 2.10
Li 0.9975 0.4934 0.6645  3 O 1.92-1.94, 1 F 2.03
Li 0.7373 0.7675 0.3475  3 O 1.96-2.06, 1 F 2.10
Li 0.9975 0.9934 0.1645  3 O 1.92-1.94, 1 F 2.03
Li 0.4975 0.5066 0.6645  3 O 1.92-1.94, 1 F 2.03
Li 0.4975 0.0066 0.8355  3 O 1.92-1.94, 1 F 2.03
Li 0.2373 0.7325 0.8475  3 O 1.96-2.06, 1 F 2.10
Li 0.9975 0.9934 0.8355  3 O 1.92-1.94, 1 F 2.03
Li 0.4975 0.0066 0.1645  3 O 1.92-1.94, 1 F 2.03
Li 0.2373 0.7325 0.1525  3 O 1.96-2.06, 1 F 2.10
Li 0.7373 0.7675 0.6525  3 O 1.96-2.06, 1 F 2.10
Li 0.7373 0.2675 0.1525  3 O 1.96-2.06, 1 F 2.10
Li 0.2373 0.2325 0.3475  3 O 1.96-2.06, 1 F 2.10
Li 0.9975 0.4934 0.3355  3 O 1.92-1.94, 1 F 2.03
Li 0.4975 0.5066 0.3355  3 O 1.92-1.94, 1 F 2.03
Li 0.7373 0.2675 0.8475  3 O 1.96-2.06, 1 F 2.10
Fe 0.7765 0.6464 0.0000  3 O 1.87
Fe 0.2765 0.3536 0.0000  3 O 1.87
Fe 0.7765 0.1464 0.5000  3 O 1.87
Fe 0.2765 0.8536 0.5000  3 O 1.87
F 0.4941 0.2945 0.5000  4 Li 2.03-2.10, 1 Fe 2.11
F 0.9941 0.2054 0.0000  4 Li 2.03-2.10, 1 Fe 2.11
F 0.9941 0.7055 0.5000  4 Li 2.03-2.10, 1 Fe 2.11
F 0.4941 0.7946 0.0000  4 Li 2.03-2.10, 1 Fe 2.11



Model 2:
VASP calculation (PBE with a Hubbard U) on crystalline Li4FeO3F at its relaxed geometry.

Calculated values
The space group is No. 2.

a = 5.1721 Å, b = 5.2196 Å, c = 8.0724 Å
α = 71.26°, β = 82.90°, γ = 69.88°
Last column: nearest neighbours and their distance in Å.
Atoms (fractional coordinates):
Li 0.2152 0.3294 0.2702  3 O 1.92-1.94, 1 F 2.12
Li 0.2324 0.7621 0.5055  2 O 1.95-2.00, 2 F 2.08-2.11
Li 0.2437 0.5400 0.9460  4 O 1.97-2.12
Li 0.2452 0.9987 0.0788  4 O 2.04-2.21
Li 0.7548 0.0013 0.9212  4 O 2.04-2.21
Li 0.7563 0.4600 0.0540  4 O 1.97-2.12
Li 0.7676 0.2379 0.4945  2 O 1.95-2.00, 2 F 2.08-2.11
Li 0.7848 0.6706 0.7298  3 O 1.92-1.94, 1 F 2.12
Fe 0.2181 0.0971 0.7398  3 O 1.85-1.86, 1 F 2.04
Fe 0.7819 0.9029 0.2602  3 O 1.85-1.86, 1 F 2.04
O 0.0097 0.0688 0.3169  1 Fe 1.85, 3 Li 1.92-2.00
O 0.0172 0.3185 0.8793  1 Fe 1.85, 3 Li 1.92-2.04
O 0.4923 0.8079 0.8860  1 Fe 1.86, 3 Li 1.94-2.04
O 0.5077 0.1921 0.1140  1 Fe 1.86, 3 Li 1.94-2.04
O 0.9828 0.6815 0.1207  1 Fe 1.85, 3 Li 1.92-2.04
O 0.9903 0.9312 0.6831  1 Fe 1.85, 3 Li 1.92-2.00
F 0.3427 0.3324 0.5088  1 Fe 2.04, 3 Li 2.08-2.12
F 0.6573 0.6676 0.4912  1 Fe 2.04, 3 Li 2.08-2.12



Winner for stability: model 1



Model 1:
VASP calculation (PBE with a Hubbard U) on crystalline Li7FeO4F2 at its relaxed geometry.

Calculated values
The space group is No. 1.

a = 5.5270 Å, b = 5.8951 Å, c = 9.9447 Å
α = 74.56°, β = 88.29°, γ = 62.54°
Last column: nearest neighbours and their distance in Å.
Atoms (fractional coordinates):
Li 0.0000 0.0000 0.0000  2 F 1.87-2.06, 2 O 1.89-2.07
Li 0.0002 0.3485 0.4215  1 F 1.93, 3 O 1.99-2.09
Li 0.4316 0.0516 0.8373  1 F 1.89, 3 O 1.90-2.04
Li 0.4330 0.3518 0.2630  2 F 1.86-1.92, 1 O 1.97
Li 0.4470 0.7038 0.7052  1 F 2.09, 4 O 2.13-2.29
Li 0.4713 0.3207 0.6324  4 O 1.94-2.01
Li 0.4726 0.0572 0.4958  4 O 1.95-2.04
Li 0.5003 0.3410 0.9385  1 F 1.87, 2 O 1.88-2.02
Li 0.5303 0.9399 0.1494  1 F 1.97, 2 O 1.97
Li 0.9406 0.0469 0.6311  3 O 1.85-1.96, 1 F 2.02
Li 0.9438 0.3783 0.1077  2 F 1.88-1.92, 1 O 1.98
Li 0.9444 0.9731 0.3231  2 F 1.91-2.08, 2 O 1.92-2.13
Li 0.9592 0.3232 0.7594  3 O 1.88-2.03, 1 F 1.89
Li 0.9823 0.6569 0.5574  5 O 2.15-2.35
Fe 0.4721 0.6783 0.4249  4 O 1.93-1.98
Fe 0.9072 0.6827 0.8576  4 O 1.90-2.02
O 0.1815 0.9339 0.5006  2 Li 1.85-2.04, 1 Fe 1.93
O 0.2327 0.4591 0.7693  4 Li 1.94-2.04, 1 Fe 2.02
O 0.2923 0.4517 0.4345  5 Li 1.97-2.15, 1 Fe 1.98
O 0.6371 0.9033 0.3446  3 Li 1.92-1.97, 1 Fe 1.93
O 0.6668 0.9264 0.6843  5 Li 1.95-2.13, 1 Fe 1.96
O 0.7252 0.9023 0.9807  3 Li 1.89-1.97, 1 Fe 1.94
O 0.7536 0.4380 0.5828  4 Li 1.90-2.09, 1 Fe 1.96
O 0.7996 0.4119 0.9197  4 Li 1.88-2.07, 1 Fe 1.90
F 0.1625 0.9478 0.8149  5 Li 1.89-2.09
F 0.1693 0.9546 0.1726  3 Li 1.87-1.97
F 0.2874 0.3833 0.0884  3 Li 1.86-1.92
F 0.7608 0.3868 0.2698  4 Li 1.88-2.08



Model 2:
VASP calculation (PBE with a Hubbard U) on crystalline Li7FeO4F2 at its relaxed geometry.

Calculated values
The space group is No. 1.

a = 5.5270 Å, b = 5.8951 Å, c = 9.9447 Å
α = 74.56°, β = 88.29°, γ = 62.54°
Last column: nearest neighbours and their distance in Å.
Atoms (fractional coordinates):
Li 0.0000 0.0000 0.0000  1 O 1.71
Li 0.9998 0.2300 0.5785  1 O 1.71
Li 0.4314 0.1188 0.4158  1 O 1.72
Li 0.4329 0.8447 0.8415  1 O 1.86, 1 F 1.94
Li 0.4468 0.6389 0.2837  2 O 1.92-2.03, 1 Li 2.06
Li 0.4711 0.1831 0.2109  2 O 1.72-1.81
Li 0.4724 0.7830 0.0743  1 O 1.68
Li 0.5001 0.5095 0.5170  2 O 1.81-2.00
Li 0.5302 0.3193 0.7279  2 F 1.92-1.94, 1 Li 2.07
Li 0.9404 0.9079 0.2096  2 O 1.72-1.77
Li 0.9443 0.5262 0.9016  1 F 1.81, 1 O 1.85
Li 0.9436 0.7160 0.6862  2 F 1.83-1.87
Li 0.9591 0.3125 0.3379  1 F 1.63
Li 0.9821 0.4442 0.1359  1 Li 1.97, 2 O 2.03
Fe 0.4719 0.3332 0.0034  1 O 1.58
Fe 0.9070 0.7702 0.4361  1 O 1.58
O 0.1813 0.6646 0.0791  1 Li 1.71
O 0.2326 0.4584 0.3478  2 Li 1.72-1.92
O 0.2921 0.1162 0.0130  1 Li 1.68
O 0.6369 0.4779 0.9231  1 Fe 1.58
O 0.6667 0.8406 0.2628  2 Li 1.72-1.77
O 0.7250 0.1129 0.5592  4 Li 1.97-2.17
O 0.7534 0.2508 0.1613  2 Li 1.72-1.81
O 0.7995 0.5616 0.4982  1 Fe 1.58, 1 Li 1.71
F 0.1623 0.9927 0.3934  1 Li 1.63
F 0.1691 0.3572 0.7511  2 Li 1.83-1.92
F 0.2872 0.7016 0.6669  2 Li 1.87-1.94
F 0.7606 0.8866 0.8483  2 Li 1.81-1.94



Winner for stability: model 1